(1)
# VFe7N4, optimized geometry, DFT PBE-GGA
data_VFe7N4
_chemical_formula_sum 'V8 Fe56 N32'
_cell_length_a 9.8042
_cell_length_b 9.8042
_cell_length_c 9.8042
_cell_angle_alpha 90.00
_cell_angle_beta 90.00
_cell_angle_gamma 90.00
_space_group_name_H-M_alt 'P 1'
_space_group_IT_number 1
loop_
_space_group_symop_operation_xyz
'x,y,z'
loop_
_atom_site_label
_atom_site_fract_x
_atom_site_fract_y
_atom_site_fract_z
V1 0.5000 0.5000 0.5000
V2 0.0000 0.0000 0.0000
V3 0.5000 0.0000 0.2500
V4 0.0000 0.7500 0.5000
V5 0.2500 0.5000 0.0000
V6 0.0000 0.2500 0.5000
V7 0.7500 0.5000 0.0000
V8 0.5000 0.0000 0.7500
Fe1 0.0000 0.0000 0.5000
Fe2 0.0000 0.5000 0.0000
Fe3 0.5000 0.0000 0.0000
Fe4 0.5000 0.0000 0.5000
Fe5 0.5000 0.5000 0.0000
Fe6 0.0000 0.5000 0.5000
Fe7 0.0000 0.5000 0.2500
Fe8 0.5000 0.7500 0.0000
Fe9 0.2500 0.0000 0.5000
Fe10 0.5000 0.2500 0.0000
Fe11 0.7500 0.0000 0.5000
Fe12 0.0000 0.5000 0.7500
Fe13 0.2912 0.7088 0.2912
Fe14 0.7088 0.2912 0.2912
Fe15 0.2912 0.2912 0.7088
Fe16 0.7088 0.7088 0.7088
Fe17 0.7912 0.7912 0.2088
Fe18 0.2088 0.7912 0.7912
Fe19 0.7912 0.2088 0.7912
Fe20 0.2088 0.2088 0.2088
Fe21 0.5000 0.5000 0.2494
Fe22 0.5000 0.7506 0.5000
Fe23 0.2494 0.5000 0.5000
Fe24 0.5000 0.2494 0.5000
Fe25 0.7506 0.5000 0.5000
Fe26 0.5000 0.5000 0.7506
Fe27 0.0000 0.7494 0.0000
Fe28 0.0000 0.0000 0.2506
Fe29 0.7494 0.0000 0.0000
Fe30 0.0000 0.0000 0.7494
Fe31 0.2506 0.0000 0.0000
Fe32 0.0000 0.2506 0.0000
Fe33 0.5518 0.7415 0.2403
Fe34 0.2585 0.7597 0.5518
Fe35 0.2403 0.4482 0.2585
Fe36 0.4482 0.2585 0.2403
Fe37 0.7415 0.2403 0.5518
Fe38 0.7597 0.5518 0.2585
Fe39 0.5518 0.2585 0.7597
Fe40 0.2585 0.2403 0.4482
Fe41 0.2403 0.5518 0.7415
Fe42 0.4482 0.7415 0.7597
Fe43 0.7415 0.7597 0.4482
Fe44 0.7597 0.4482 0.7415
Fe45 0.0518 0.7403 0.2415
Fe46 0.7585 0.0518 0.2597
Fe47 0.7403 0.7585 0.9482
Fe48 0.9482 0.7403 0.7585
Fe49 0.2415 0.0518 0.7403
Fe50 0.2597 0.7585 0.0518
Fe51 0.0518 0.2597 0.7585
Fe52 0.7585 0.9482 0.7403
Fe53 0.7403 0.2415 0.0518
Fe54 0.9482 0.2597 0.2415
Fe55 0.2415 0.9482 0.2597
Fe56 0.2597 0.2415 0.9482
N1 0.3940 0.6060 0.3940
N2 0.6060 0.3940 0.3940
N3 0.3940 0.3940 0.6060
N4 0.6060 0.6060 0.6060
N5 0.8940 0.8940 0.1060
N6 0.1060 0.8940 0.8940
N7 0.8940 0.1060 0.8940
N8 0.1060 0.1060 0.1060
N9 0.3944 0.8361 0.1728
N10 0.1639 0.8272 0.3944
N11 0.1728 0.6056 0.1639
N12 0.6056 0.1639 0.1728
N13 0.8361 0.1728 0.3944
N14 0.8272 0.3944 0.1639
N15 0.3944 0.1639 0.8272
N16 0.1639 0.1728 0.6056
N17 0.1728 0.3944 0.8361
N18 0.6056 0.8361 0.8272
N19 0.8361 0.8272 0.6056
N20 0.8272 0.6056 0.8361
N21 0.8944 0.6728 0.3361
N22 0.6639 0.8944 0.3272
N23 0.6728 0.6639 0.1056
N24 0.1056 0.6728 0.6639
N25 0.3361 0.8944 0.6728
N26 0.3272 0.6639 0.8944
N27 0.8944 0.3272 0.6639
N28 0.6639 0.1056 0.6728
N29 0.6728 0.3361 0.8944
N30 0.1056 0.3272 0.3361
N31 0.3361 0.1056 0.3272
N32 0.3272 0.3361 0.1056
# - Space-group type: No. 218



(2)
# FeWN2, optimized geometry, DFT PBE-GGA
data_FeWN2
_chemical_formula_sum 'Fe2 W2 N4'
_cell_length_a 2.8891
_cell_length_b 2.8891
_cell_length_c 11.0494
_cell_angle_alpha 90.00
_cell_angle_beta 90.00
_cell_angle_gamma 120.00
_space_group_name_H-M_alt 'P 1'
_space_group_IT_number 1
loop_
_space_group_symop_operation_xyz
'x,y,z'
loop_
_atom_site_label
_atom_site_fract_x
_atom_site_fract_y
_atom_site_fract_z
Fe1 0.0000 0.0000 0.0000
Fe2 0.0000 0.0000 0.5000
W1 0.0000 0.0000 0.7500
W2 0.0000 0.0000 0.2500
N1 0.6667 0.3333 0.6315
N2 0.3333 0.6667 0.1315
N3 0.6667 0.3333 0.8685
N4 0.3333 0.6667 0.3685
# - Space-group type: No. 194



(3)
# Fe3W3N, optimized geometry, DFT PBE-GGA
data_Fe3W3N
_chemical_formula_sum 'Fe12 W12 N4'
_cell_length_a 7.8022
_cell_length_b 7.8022
_cell_length_c 7.8022
_cell_angle_alpha 60.00
_cell_angle_beta 60.00
_cell_angle_gamma 60.00
_space_group_name_H-M_alt 'P 1'
_space_group_IT_number 1
loop_
_space_group_symop_operation_xyz
'x,y,z'
loop_
_atom_site_label
_atom_site_fract_x
_atom_site_fract_y
_atom_site_fract_z
Fe1 0.6250 0.1250 0.1250
Fe2 0.1250 0.1250 0.6250
Fe3 0.1250 0.1250 0.1250
Fe4 0.1250 0.6250 0.1250
Fe5 0.9218 0.2346 0.9218
Fe6 0.3282 0.3282 0.3282
Fe7 0.0154 0.3282 0.3282
Fe8 0.3282 0.3282 0.0154
Fe9 0.3282 0.0154 0.3282
Fe10 0.9218 0.9218 0.9218
Fe11 0.9218 0.9218 0.2346
Fe12 0.2346 0.9218 0.9218
W1 0.9532 0.5468 0.5468
W2 0.7032 0.2968 0.2968
W3 0.5468 0.5468 0.9532
W4 0.9532 0.5468 0.9532
W5 0.5468 0.9532 0.5468
W6 0.9532 0.9532 0.5468
W7 0.7032 0.7032 0.2968
W8 0.2968 0.2968 0.7032
W9 0.2968 0.7032 0.7032
W10 0.2968 0.7032 0.2968
W11 0.7032 0.2968 0.7032
W12 0.5468 0.9532 0.9532
N1 0.1250 0.6250 0.6250
N2 0.6250 0.6250 0.1250
N3 0.6250 0.6250 0.6250
N4 0.6250 0.1250 0.6250
# - Space-group type: No. 227



(4)
# Y2FeN3, optimized geometry, DFT PBE-GGA
data_Y2FeN3
_chemical_formula_sum 'Y8 Fe4 N12'
_cell_length_a 5.8706
_cell_length_b 10.5884
_cell_length_c 11.3565
_cell_angle_alpha 90.00
_cell_angle_beta 91.55
_cell_angle_gamma 154.40
_space_group_name_H-M_alt 'P 1'
_space_group_IT_number 1
loop_
_space_group_symop_operation_xyz
'x,y,z'
loop_
_atom_site_label
_atom_site_fract_x
_atom_site_fract_y
_atom_site_fract_z
Y1 0.4675 0.0265 0.8523
Y2 0.5325 0.5590 0.6477
Y3 0.5325 0.9735 0.1477
Y4 0.4675 0.4410 0.3523
Y5 0.5181 0.8637 0.5636
Y6 0.4819 0.3456 0.9364
Y7 0.4819 0.1363 0.4364
Y8 0.5181 0.6544 0.0636
Fe1 0.5708 0.2817 0.6761
Fe2 0.4292 0.7109 0.8239
Fe3 0.4292 0.7183 0.3239
Fe4 0.5708 0.2891 0.1761
N1 0.0000 0.6155 0.7500
N2 0.0000 0.3845 0.2500
N3 0.5843 0.1084 0.6320
N4 0.4157 0.5240 0.8680
N5 0.4157 0.8916 0.3680
N6 0.5843 0.4760 0.1320
N7 0.4872 0.1449 0.0330
N8 0.5128 0.6577 0.4670
N9 0.5128 0.8551 0.9670
N10 0.4872 0.3423 0.5330
N11 0.0000 0.9968 0.7500
N12 0.0000 0.0032 0.2500
# - Space-group type: No. 15



(5)
# Zn3FeN3, optimized geometry, DFT PBE-GGA
data_Zn3FeN3
_chemical_formula_sum 'Zn6 Fe2 N6'
_cell_length_a 8.2431
_cell_length_b 8.2925
_cell_length_c 3.4479
_cell_angle_alpha 90.00
_cell_angle_beta 90.00
_cell_angle_gamma 119.74
_space_group_name_H-M_alt 'P 1'
_space_group_IT_number 1
loop_
_space_group_symop_operation_xyz
'x,y,z'
loop_
_atom_site_label
_atom_site_fract_x
_atom_site_fract_y
_atom_site_fract_z
Zn1 0.9070 0.6401 0.2500
Zn2 0.7325 0.0901 0.2500
Zn3 0.3623 0.2696 0.2500
Zn4 0.0930 0.3599 0.7500
Zn5 0.2675 0.9099 0.7500
Zn6 0.6377 0.7304 0.7500
Fe1 0.6692 0.3331 0.7500
Fe2 0.3308 0.6669 0.2500
N1 0.7709 0.5886 0.7500
N2 0.8178 0.2244 0.7500
N3 0.4121 0.1836 0.7500
N4 0.2291 0.4114 0.2500
N5 0.1822 0.7756 0.2500
N6 0.5879 0.8164 0.2500
# - Space-group type: No. 11



(6)
# Zn2FeN2, optimized geometry, DFT PBE-GGA
data_Zn2FeN2
_chemical_formula_sum 'Zn4 Fe2 N4'
_cell_length_a 5.9013
_cell_length_b 5.9013
_cell_length_c 7.2038
_cell_angle_alpha 57.87
_cell_angle_beta 57.87
_cell_angle_gamma 36.93
_space_group_name_H-M_alt 'P 1'
_space_group_IT_number 1
loop_
_space_group_symop_operation_xyz
'x,y,z'
loop_
_atom_site_label
_atom_site_fract_x
_atom_site_fract_y
_atom_site_fract_z
Zn1 0.3116 0.3116 0.7841
Zn2 0.6884 0.6884 0.2159
Zn3 0.9447 0.9447 0.3373
Zn4 0.0553 0.0553 0.6627
Fe1 0.6280 0.6280 0.8727
Fe2 0.3720 0.3720 0.1273
N1 0.8267 0.8267 0.6719
N2 0.1733 0.1733 0.3281
N3 0.4915 0.4915 0.8094
N4 0.5085 0.5085 0.1906
# - Space-group type: No. 12



| no. | formation energy from the elements (eV/atom) |
| --- | --- |
| 1 | 0.1099 |
| 2 | -0.3885 |
| 3 | -0.1379 |
| 4 | -1.2341 |
| 5 | 0.0224 |
| 6 | 0.0417 |